# 1
NdI3O9 | r2SCAN | relaxed

Computed properties:
Its formation energy is -1.102 eV/atom.

Geometry as POSCAR:
```
NdI3O9
1.0
-5.470 2.110 -0.716
-2.819 -5.037 6.691
0.845 7.302 15.063
Nd I O
4 12 36
direct
0.234 0.139 0.901
0.266 0.139 0.401
0.734 0.861 0.599
0.766 0.861 0.099
0.188 0.071 0.650
0.640 0.360 0.477
0.091 0.584 0.301
0.140 0.640 0.023
0.812 0.929 0.350
0.360 0.640 0.523
0.909 0.416 0.699
0.591 0.416 0.199
0.312 0.071 0.150
0.688 0.929 0.850
0.409 0.584 0.801
0.860 0.360 0.977
0.410 0.667 0.883
0.469 0.404 0.380
0.090 0.667 0.383
0.531 0.596 0.620
0.088 0.361 0.053
0.314 0.343 0.245
0.913 0.909 0.457
0.031 0.404 0.880
0.891 0.097 0.830
0.391 0.903 0.670
0.413 0.091 0.043
0.969 0.596 0.120
0.002 0.629 0.633
0.998 0.371 0.367
0.412 0.361 0.553
0.552 0.939 0.205
0.588 0.639 0.447
0.498 0.629 0.133
0.595 0.136 0.509
0.590 0.333 0.117
0.912 0.639 0.947
0.095 0.864 0.991
0.186 0.343 0.745
0.814 0.657 0.255
0.052 0.061 0.295
0.448 0.061 0.795
0.948 0.939 0.705
0.905 0.136 0.009
0.405 0.864 0.491
0.609 0.097 0.330
0.686 0.657 0.755
0.087 0.091 0.543
0.502 0.371 0.867
0.109 0.903 0.170
0.910 0.333 0.617
0.587 0.909 0.957
```

# 2
BaMnO3 | r2SCAN | relaxed

Computed properties:
Its formation energy is -2.592 eV/atom.

Geometry as POSCAR:
```
BaMnO3
1.0
2.850 -4.936 0.000
2.850 4.936 0.000
0.000 0.000 18.874
Ba Mn O
8 8 24
direct
0.333 0.667 0.129
0.667 0.333 0.629
0.000 0.000 0.250
0.000 0.000 0.000
0.333 0.667 0.371
0.000 0.000 0.750
0.667 0.333 0.871
0.000 0.000 0.500
0.333 0.667 0.816
0.667 0.333 0.053
0.333 0.667 0.947
0.333 0.667 0.553
0.667 0.333 0.184
0.333 0.667 0.684
0.667 0.333 0.316
0.667 0.333 0.447
0.963 0.481 0.250
0.500 0.500 0.500
0.374 0.187 0.120
0.037 0.519 0.750
0.813 0.626 0.120
0.187 0.374 0.880
0.187 0.813 0.880
0.626 0.813 0.880
0.626 0.813 0.620
0.500 0.000 0.500
0.481 0.963 0.750
0.519 0.037 0.250
0.187 0.813 0.620
0.187 0.374 0.620
0.500 0.000 0.000
0.374 0.187 0.380
0.481 0.519 0.750
0.813 0.187 0.380
0.519 0.481 0.250
0.000 0.500 0.500
0.000 0.500 0.000
0.813 0.187 0.120
0.813 0.626 0.380
0.500 0.500 0.000
```

# 3
NaEuNbSnO6 | r2SCAN | relaxed

Computed properties:
Its formation energy is -2.521 eV/atom.

Geometry as POSCAR:
```
NaEuNbSnO6
1.0
0.000 -4.022 -4.022
4.022 0.000 -4.022
4.022 -4.022 0.000
Na Eu Nb Sn O
1 1 1 1 6
direct
0.250 0.250 0.250
0.750 0.750 0.750
0.000 0.000 0.000
0.500 0.500 0.500
0.752 0.248 0.248
0.248 0.752 0.752
0.752 0.248 0.752
0.248 0.752 0.248
0.752 0.752 0.248
0.248 0.248 0.752
```

# 4
CsPrS2 | r2SCAN | relaxed

Computed properties:
Its formation energy is -2.076 eV/atom.

Geometry as POSCAR:
```
CsPrS2
1.0
-3.509 5.377 5.546
-3.446 1.626 7.581
0.067 4.046 7.457
Cs Pr S
1 1 2
direct
0.000 0.000 0.000
0.500 0.500 0.500
0.771 0.771 0.771
0.229 0.229 0.229
```